1.
Compound: BaCaEuBiO6
Source: the Materials Project
Functional: PBE
Structure: relaxed

a b c (Å): 8.594 8.599 8.620
angles (deg): 90.00 90.00 90.00
Space group P222 (No. 16)
Unique sites:
Ba 0.000 0.000 0.000 [1 per cell]
Ba 0.000 0.000 0.500 [1 per cell]
Ba 0.000 0.500 0.000 [1 per cell]
Ba 0.500 0.500 0.500 [1 per cell]
Ca 0.000 0.500 0.500 [1 per cell]
Ca 0.500 0.000 0.000 [1 per cell]
Ca 0.500 0.000 0.500 [1 per cell]
Ca 0.500 0.500 0.000 [1 per cell]
Eu 0.255 0.251 0.749 [4 per cell]
Bi 0.256 0.249 0.251 [4 per cell]
O 0.010 0.275 0.214 [4 per cell]
O 0.205 0.308 0.489 [4 per cell]
O 0.220 0.007 0.282 [4 per cell]
O 0.302 0.201 0.010 [4 per cell]
O 0.306 0.489 0.199 [4 per cell]
O 0.492 0.205 0.313 [4 per cell]

Results
For the energy above the most stable polymorph in this dataset, the calculation gives 2 meV per atom.



2.
Compound: BaCaGdBiO6
Source: the Materials Project
Functional: PBE
Structure: relaxed

a b c (Å): 6.016 6.104 8.597
angles (deg): 89.91 89.70 89.90
Space group P-1 (No. 2)
Unique sites:
Ba 0.006 0.036 0.250 [2 per cell]
Ca 0.490 0.540 0.248 [2 per cell]
Gd 0.000 0.500 0.000 [1 per cell]
Gd 0.500 0.000 0.500 [1 per cell]
Bi 0.000 0.500 0.500 [1 per cell]
Bi 0.500 0.000 0.000 [1 per cell]
O 0.114 0.506 0.740 [2 per cell]
O 0.202 0.782 0.460 [2 per cell]
O 0.215 0.797 0.033 [2 per cell]
O 0.288 0.307 0.436 [2 per cell]
O 0.312 0.293 0.060 [2 per cell]
O 0.431 0.066 0.759 [2 per cell]

Results
For the energy above the most stable polymorph in this dataset, the calculation gives 0 meV per atom.



| no. | raw total energy (eV per atom) |
| --- | --- |
| 1 | -6.945 |
| 2 | -7.527 |